No. 1
DFT (PBE) results for crystalline Sc2S3 at its relaxed geometry.

Geometry as POSCAR:
```
Sc2S3
1.0
5.548 3.204 0.000
-5.548 3.204 0.000
0.000 2.125 6.015
S Sc
6 4
direct
0.261 0.261 0.746 S
0.092 0.415 0.257 S
0.908 0.585 0.743 S
0.415 0.092 0.257 S
0.739 0.739 0.254 S
0.585 0.908 0.743 S
0.666 0.334 0.500 Sc
0.500 0.500 0.000 Sc
0.000 0.000 0.500 Sc
0.334 0.666 0.500 Sc
```

The energy relative to the elements comes out at -213 kJ/mol of atoms. As for the space group: C2/m (12). For the MP2020-corrected energy, the calculation gives -7.225 eV per atom.



No. 2
DFT (PBE) results for crystalline Tb2Ge6Pd at its relaxed geometry.

Geometry as POSCAR:
```
Tb2Ge6Pd
1.0
-1.231 -3.437 1.786
-3.903 0.985 -0.796
1.261 -3.529 -10.545
Ge Tb Pd
6 2 1
direct
0.878 0.000 0.756 Ge
0.992 0.000 0.984 Ge
0.670 0.000 0.339 Ge
0.241 0.000 0.482 Ge
0.379 0.500 0.759 Ge
0.493 0.500 0.986 Ge
0.777 0.500 0.555 Tb
0.118 0.500 0.236 Tb
0.559 0.000 0.118 Pd
```

The energy relative to the elements comes out at -50 kJ/mol of atoms. As for the space group: Amm2 (38). The calculation puts the total magnetization at 0.000 μB per atom.



No. 3
DFT (PBE) results for crystalline LiLa2S2O8F3 at its relaxed geometry.

Geometry as POSCAR:
```
LiLa2S2O8F3
1.0
3.511 7.918 0.000
-3.511 7.918 0.000
0.000 3.747 7.443
O F La Li S
16 6 4 2 4
direct
0.710 0.524 0.380 O
0.290 0.476 0.620 O
0.279 0.182 0.670 O
0.466 0.148 0.837 O
0.604 0.155 0.511 O
0.524 0.710 0.880 O
0.818 0.721 0.830 O
0.148 0.466 0.337 O
0.721 0.818 0.330 O
0.534 0.852 0.163 O
0.852 0.534 0.663 O
0.182 0.279 0.170 O
0.155 0.604 0.011 O
0.845 0.396 0.989 O
0.476 0.290 0.120 O
0.396 0.845 0.489 O
0.911 0.994 0.164 F
0.306 0.694 0.250 F
0.089 0.006 0.836 F
0.006 0.089 0.336 F
0.694 0.306 0.750 F
0.994 0.911 0.664 F
0.027 0.213 0.534 La
0.787 0.973 0.966 La
0.213 0.027 0.034 La
0.973 0.787 0.466 La
0.593 0.407 0.250 Li
0.407 0.593 0.750 Li
0.411 0.242 0.655 S
0.242 0.411 0.155 S
0.758 0.589 0.845 S
0.589 0.758 0.345 S
```

The energy relative to the elements comes out at -292 kJ/mol of atoms. As for the space group: C2/c (15). For the MP2020-corrected energy, the calculation gives -7.116 eV per atom. The calculation puts the total magnetization at 0.000 μB per atom.



No. 4
DFT (PBE) results for crystalline TlBrO3 at its relaxed geometry.

Geometry as POSCAR:
```
TlBrO3
1.0
3.424 -3.117 0.000
3.424 3.117 0.000
0.587 0.000 4.593
Br Tl O
1 1 3
direct
0.502 0.502 0.502 Br
0.004 0.004 0.004 Tl
0.436 0.867 0.436 O
0.436 0.436 0.867 O
0.867 0.436 0.436 O
```

The energy relative to the elements comes out at -62 kJ/mol of atoms. The piezoelectric modulus e_max comes out at 0.9 C/m². As for the space group: R3m (160). For the MP2020-corrected energy, the calculation gives -4.413 eV per atom.



No. 5
DFT (PBE) results for crystalline SnCl2O2 at its relaxed geometry.

Geometry as POSCAR:
```
SnCl2O2
1.0
7.521 0.000 0.000
0.000 9.036 0.000
0.000 3.375 8.483
O Sn Cl
8 4 8
direct
0.729 0.478 0.945 O
0.811 0.552 0.530 O
0.189 0.448 0.470 O
0.771 0.478 0.445 O
0.271 0.522 0.055 O
0.229 0.522 0.555 O
0.311 0.448 0.970 O
0.689 0.552 0.030 O
0.289 0.084 0.594 Sn
0.789 0.916 0.906 Sn
0.211 0.084 0.094 Sn
0.711 0.916 0.406 Sn
0.975 0.181 0.838 Cl
0.475 0.819 0.662 Cl
0.997 0.840 0.716 Cl
0.497 0.160 0.784 Cl
0.003 0.160 0.284 Cl
0.025 0.819 0.162 Cl
0.525 0.181 0.338 Cl
0.503 0.840 0.216 Cl
```

The energy relative to the elements comes out at -62 kJ/mol of atoms. The energy above the most stable polymorph in this dataset is 0.003 eV/atom. As for the space group: P2_1/c (14). For the MP2020-corrected energy, the calculation gives -4.159 eV per atom. The calculation puts the total magnetization at 0.400 μB per atom.



No. 6
DFT (PBE) results for crystalline CaGeO3 at its relaxed geometry.

Geometry as POSCAR:
```
CaGeO3
1.0
-0.732 -3.647 0.689
3.380 -0.365 1.659
-1.533 0.937 3.329
O Ca Ge
3 1 1
direct
0.000 0.500 0.500 O
0.500 0.500 0.000 O
0.500 0.000 0.500 O
0.000 0.000 0.000 Ca
0.500 0.500 0.500 Ge
```

The energy relative to the elements comes out at -249 kJ/mol of atoms. As for the space group: Pm-3m (221). For the MP2020-corrected energy, the calculation gives -6.874 eV per atom. The calculation puts the total magnetization at 0.000 μB per atom.